This record from the Materials Project describes a relaxed Rb2S crystal. The functional is PBE.

Properties
space group = Fm-3m (225)
formation energy from the elements = -3.5 eV/f.u.

The structure in CIF format:
```
data_Rb2S
_cell_length_a 5.543
_cell_length_b 5.543
_cell_length_c 5.543
_cell_angle_alpha 60.00
_cell_angle_beta 60.00
_cell_angle_gamma 60.00
_symmetry_space_group_name_H-M 'P 1'
_symmetry_Int_Tables_number 1
_symmetry_space_group_name_Hall 'P 1'
loop_
_atom_site_label
_atom_site_type_symbol
_atom_site_fract_x
_atom_site_fract_y
_atom_site_fract_z
_atom_site_occupancy
Rb1 Rb 0.750 0.750 0.750 1
Rb2 Rb 0.250 0.250 0.250 1
S1 S 0.000 0.000 0.000 1
```